No. 1
Compound: MgCrO9
Source: the Materials Project database
Functional: PBE+U
Structure: relaxed

Computed properties:
The calculation puts the formation energy at -261 meV/atom. The value obtained for the calculated volume is 14.9 A^3/atom. The final energy is -110.41 eV/cell. The crystal system is triclinic.

a b c (Å): 5.4285 6.1622 10.5266
angles (deg): 100.88 91.06 71.37
Fractional coordinates of all 22 atoms:
Mg 0.0000 0.0000 0.0000
Mg 0.0000 0.5000 0.5000
Cr 0.3817 0.9999 0.2766
Cr 0.6183 0.0001 0.7234
O 0.2587 0.9196 0.1350
O 0.7413 0.0804 0.8650
O 0.2021 0.2671 0.3451
O 0.7979 0.7329 0.6549
O 0.3953 0.8167 0.3773
O 0.6047 0.1833 0.6227
O 0.6855 0.9960 0.2501
O 0.3145 0.0040 0.7499
O 0.8237 0.7870 0.0673
O 0.1763 0.2130 0.9327
O 0.6957 0.3602 0.1334
O 0.3043 0.6398 0.8666
O 0.6361 0.4840 0.4335
O 0.3639 0.5160 0.5665
O 0.0279 0.8348 0.4515
O 0.9721 0.1652 0.5485
O 0.4594 0.4183 0.1203
O 0.5406 0.5817 0.8797

---

No. 2
Compound: LiVO2F2
Source: the Materials Project database
Functional: PBE+U
Structure: relaxed

Computed properties:
The calculation puts the formation energy at -2686 meV/atom. The value obtained for the calculated volume is 11.5 A^3/atom. The final energy is -73.67 eV/cell. The crystal system is monoclinic.

a b c (Å): 5.5054 5.2983 5.3667
angles (deg): 61.94 90.00 90.00
Fractional coordinates of all 12 atoms:
Li 0.5946 0.2500 0.5000
Li 0.4054 0.7500 0.5000
V 0.9014 0.2500 0.0000
V 0.0986 0.7500 0.0000
O 0.8897 0.0268 0.7996
O 0.8897 0.4732 0.2004
O 0.1103 0.5268 0.7996
O 0.1103 0.9732 0.2004
F 0.6415 0.0545 0.2633
F 0.3585 0.5545 0.2633
F 0.6415 0.4455 0.7367
F 0.3585 0.9455 0.7367

---

No. 3
Compound: Li3CrNi3O8
Source: the Materials Project database
Functional: PBE+U
Structure: relaxed

Computed properties:
The calculation puts the formation energy at -1609 meV/atom. The value obtained for the calculated volume is 9.4 A^3/atom. The final energy is -81.33 eV/cell. The crystal system is monoclinic.

a b c (Å): 5.8359 5.8359 5.8496
angles (deg): 60.51 60.51 59.18
Fractional coordinates of all 15 atoms:
Li 0.0000 0.5000 0.5000
Li 0.5000 0.0000 0.5000
Li 0.5000 0.5000 0.5000
Cr 0.0000 0.0000 0.0000
Ni 0.5000 0.5000 0.0000
Ni 0.5000 0.0000 0.0000
Ni 0.0000 0.5000 0.0000
O 0.2750 0.2750 0.1993
O 0.2604 0.7391 0.2216
O 0.7684 0.7684 0.2219
O 0.7391 0.2604 0.2216
O 0.2609 0.7396 0.7784
O 0.2316 0.2316 0.7781
O 0.7396 0.2609 0.7784
O 0.7250 0.7250 0.8007

---

No. 4
Compound: K3ErMgV2O8
Source: the Materials Project database
Functional: PBE+U
Structure: relaxed

Computed properties:
The calculation puts the formation energy at -2540 meV/atom. The value obtained for the calculated volume is 17.9 A^3/atom. The final energy is -96.46 eV/cell. The crystal system is monoclinic.

a b c (Å): 6.2155 6.2162 8.0917
angles (deg): 86.70 93.29 120.84
Fractional coordinates of all 15 atoms:
K 0.7072 0.2930 0.2678
K 0.2929 0.7072 0.7323
K 0.9998 0.0001 0.9999
Er 0.0000 0.0000 0.5000
Mg 0.4999 0.4999 0.5000
V 0.6941 0.3060 0.7519
V 0.3060 0.6941 0.2480
O 0.6715 0.3285 0.9585
O 0.3287 0.6715 0.0415
O 0.8175 0.6249 0.6340
O 0.3748 0.1824 0.6341
O 0.8512 0.1488 0.6916
O 0.1824 0.3749 0.3659
O 0.6250 0.8175 0.3660
O 0.1488 0.8512 0.3084

---

No. 5
Compound: MgMnP2O7
Source: the Materials Project database
Functional: PBE+U
Structure: relaxed

Computed properties:
The calculation puts the formation energy at -2783 meV/atom. The value obtained for the calculated volume is 11.4 A^3/atom. The final energy is -80.36 eV/cell. The crystal system is triclinic.

a b c (Å): 5.3876 5.3943 4.5727
angles (deg): 82.05 97.86 75.79
Fractional coordinates of all 11 atoms:
Mg 0.7682 0.7755 0.0091
Mn 0.1480 0.1553 0.0078
P 0.2331 0.6704 0.6005
P 0.6636 0.2402 0.4174
O 0.4110 0.4159 0.5120
O 0.0610 0.5555 0.7935
O 0.0815 0.8334 0.2980
O 0.4003 0.8120 0.7738
O 0.8284 0.0863 0.7180
O 0.8045 0.4079 0.2435
O 0.5477 0.0696 0.2235

---

No. 6
Compound: Li9Mn12Ni3O32
Source: the Materials Project database
Functional: PBE+U
Structure: relaxed

Computed properties:
The calculation puts the formation energy at -1962 meV/atom. The value obtained for the calculated volume is 10.2 A^3/atom. The final energy is -363.02 eV/cell. The crystal system is trigonal.

a b c (Å): 8.2904 8.2904 8.2904
angles (deg): 90.00 90.00 90.00
Fractional coordinates of all 56 atoms:
Li 0.8717 0.8816 0.3705
Li 0.6295 0.1184 0.1283
Li 0.6208 0.6208 0.6208
Li 0.3792 0.3792 0.3792
Li 0.3705 0.8717 0.8816
Li 0.1283 0.6295 0.1184
Li 0.1184 0.1283 0.6295
Li 0.0000 0.0000 0.0000
Li 0.8816 0.3705 0.8717
Mn 0.7543 0.5000 0.2457
Mn 0.7523 0.7484 0.9955
Mn 0.7484 0.9955 0.7523
Mn 0.5040 0.4960 0.0000
Mn 0.5000 0.2457 0.7543
Mn 0.4960 0.0000 0.5040
Mn 0.2516 0.2477 0.0045
Mn 0.2477 0.0045 0.2516
Mn 0.2457 0.7543 0.5000
Mn 0.0045 0.2516 0.2477
Mn 0.0000 0.5040 0.4960
Mn 0.9955 0.7523 0.7484
Ni 0.7507 0.2493 0.5000
Ni 0.5000 0.7507 0.2493
Ni 0.2493 0.5000 0.7507
O 0.7728 0.2668 0.2509
O 0.7669 0.4976 0.4770
O 0.7598 0.7598 0.7598
O 0.7475 0.9749 0.9812
O 0.7491 0.7332 0.2272
O 0.7398 0.5089 0.0106
O 0.7332 0.2272 0.7491
O 0.7264 0.0022 0.5166
O 0.5230 0.5024 0.2331
O 0.5166 0.7264 0.0022
O 0.5089 0.0106 0.7398
O 0.5024 0.2331 0.5230
O 0.4976 0.4770 0.7669
O 0.4911 0.2602 0.9894
O 0.4834 0.9978 0.2736
O 0.4770 0.7669 0.4976
O 0.2736 0.4834 0.9978
O 0.2668 0.2509 0.7728
O 0.2602 0.9894 0.4911
O 0.2509 0.7728 0.2668
O 0.2525 0.0188 0.0251
O 0.2402 0.2402 0.2402
O 0.2331 0.5230 0.5024
O 0.2272 0.7491 0.7332
O 0.0251 0.2525 0.0188
O 0.0188 0.0251 0.2525
O 0.0106 0.7398 0.5089
O 0.0022 0.5166 0.7264
O 0.9978 0.2736 0.4834
O 0.9894 0.4911 0.2602
O 0.9812 0.7475 0.9749
O 0.9749 0.9812 0.7475

---

No. 7
Compound: MgCo2Ni4O8
Source: the Materials Project database
Functional: PBE+U
Structure: relaxed

Computed properties:
The calculation puts the formation energy at -1194 meV/atom. The value obtained for the calculated volume is 10.7 A^3/atom. The final energy is -77.49 eV/cell. The crystal system is monoclinic.

a b c (Å): 6.1410 5.9439 6.1386
angles (deg): 61.07 59.24 61.03
Fractional coordinates of all 15 atoms:
Mg 0.6602 0.0898 0.6602
Co 0.0923 0.1577 0.0923
Co 0.9443 0.8057 0.9443
Ni 0.4448 0.0299 0.4431
Ni 0.5121 0.4987 0.9908
Ni 0.9908 0.4984 0.5121
Ni 0.4431 0.5822 0.4448
O 0.7117 0.2556 0.2751
O 0.2235 0.2862 0.2223
O 0.7944 0.2084 0.7938
O 0.7368 0.7305 0.3004
O 0.2751 0.2576 0.7117
O 0.2223 0.7680 0.2235
O 0.3004 0.7322 0.7368
O 0.7938 0.7033 0.7944

---

No. 8
Compound: La4Ni3MoO12
Source: the Materials Project database
Functional: PBE+U
Structure: relaxed

Computed properties:
The calculation puts the formation energy at -2618 meV/atom. The value obtained for the calculated volume is 12.4 A^3/atom. The final energy is -140.59 eV/cell. The crystal system is tetragonal.

a b c (Å): 5.5563 5.5563 8.0577
angles (deg): 90.00 90.00 90.00
Fractional coordinates of all 20 atoms:
La 0.5000 0.0000 0.7202
La 0.0000 0.5000 0.2798
La 0.5000 0.0000 0.2798
La 0.0000 0.5000 0.7202
Ni 0.0000 0.0000 0.0000
Ni 0.5000 0.5000 0.5000
Ni 0.0000 0.0000 0.5000
Mo 0.5000 0.5000 0.0000
O 0.0000 0.0000 0.7527
O 0.5000 0.5000 0.2440
O 0.7483 0.7483 0.5000
O 0.2574 0.2574 0.0000
O 0.7483 0.2517 0.5000
O 0.2574 0.7426 0.0000
O 0.0000 0.0000 0.2473
O 0.5000 0.5000 0.7560
O 0.2517 0.2517 0.5000
O 0.7426 0.7426 0.0000
O 0.2517 0.7483 0.5000
O 0.7426 0.2574 0.0000

---

No. 9
Compound: Fe2SnP3O12
Source: the Materials Project database
Functional: PBE+U
Structure: relaxed

Computed properties:
The calculation puts the formation energy at -2303 meV/atom. The value obtained for the calculated volume is 13.1 A^3/atom. The final energy is -250.54 eV/cell. The crystal system is trigonal.

a b c (Å): 8.8065 8.8065 8.8065
angles (deg): 59.07 59.07 59.07
Fractional coordinates of all 36 atoms:
Fe 0.1481 0.1481 0.1481
Fe 0.3519 0.3519 0.3519
Fe 0.6481 0.6481 0.6481
Fe 0.8519 0.8519 0.8519
Sn 0.0000 0.0000 0.0000
Sn 0.5000 0.5000 0.5000
P 0.0406 0.7500 0.4594
P 0.4594 0.0406 0.7500
P 0.7500 0.4594 0.0406
P 0.2500 0.5406 0.9594
P 0.5406 0.9594 0.2500
P 0.9594 0.2500 0.5406
O 0.1148 0.3053 0.5070
O 0.3053 0.5070 0.1148
O 0.0603 0.9166 0.2655
O 0.5070 0.1148 0.3053
O 0.0070 0.8053 0.6148
O 0.2345 0.5834 0.4397
O 0.2655 0.0603 0.9166
O 0.4397 0.2345 0.5834
O 0.1947 0.3852 0.9930
O 0.5834 0.4397 0.2345
O 0.0834 0.7345 0.9397
O 0.3852 0.9930 0.1947
O 0.6148 0.0070 0.8053
O 0.9166 0.2655 0.0603
O 0.4166 0.5603 0.7655
O 0.8053 0.6148 0.0070
O 0.5603 0.7655 0.4166
O 0.7345 0.9397 0.0834
O 0.7655 0.4166 0.5603
O 0.9930 0.1947 0.3852
O 0.4930 0.8852 0.6947
O 0.9397 0.0834 0.7345
O 0.6947 0.4930 0.8852
O 0.8852 0.6947 0.4930

---

No. 10
Compound: V6AgO15
Source: the Materials Project database
Functional: PBE+U
Structure: relaxed

Computed properties:
The calculation puts the formation energy at -2175 meV/atom. The value obtained for the calculated volume is 12.5 A^3/atom. The final energy is -317.81 eV/cell. The crystal system is triclinic.

a b c (Å): 7.3181 7.9979 10.2257
angles (deg): 109.22 90.00 103.22
Fractional coordinates of all 44 atoms:
V 0.5814 0.3251 0.8992
V 0.0813 0.3252 0.8993
V 0.1060 0.4243 0.5897
V 0.6061 0.4242 0.5899
V 0.3081 0.2324 0.1179
V 0.8084 0.2338 0.1194
V 0.1916 0.7662 0.8806
V 0.6919 0.7677 0.8821
V 0.3939 0.5758 0.4101
V 0.8940 0.5757 0.4103
V 0.9187 0.6748 0.1007
V 0.4186 0.6749 0.1008
Ag 0.7518 0.0071 0.5973
Ag 0.2482 0.9929 0.4027
O 0.5354 0.1240 0.7787
O 0.0267 0.1242 0.7788
O 0.3427 0.3707 0.9461
O 0.8428 0.3715 0.9456
O 0.0501 0.2008 0.5270
O 0.5503 0.2006 0.5269
O 0.7498 0.9993 0.9995
O 0.2502 0.0007 0.0005
O 0.3039 0.2156 0.2741
O 0.8040 0.2162 0.2734
O 0.6184 0.4734 0.7773
O 0.1183 0.4737 0.7775
O 0.3710 0.4840 0.5730
O 0.8712 0.4849 0.5735
O 0.5667 0.2670 0.0769
O 0.0668 0.2669 0.0769
O 0.9332 0.7331 0.9231
O 0.4333 0.7330 0.9231
O 0.6290 0.5160 0.4270
O 0.1288 0.5151 0.4265
O 0.3816 0.5266 0.2227
O 0.8817 0.5263 0.2225
O 0.6961 0.7844 0.7259
O 0.1960 0.7838 0.7266
O 0.4497 0.7994 0.4731
O 0.9499 0.7992 0.4730
O 0.6573 0.6293 0.0539
O 0.1572 0.6285 0.0544
O 0.4646 0.8760 0.2213
O 0.9733 0.8758 0.2212

---

No. 11
Compound: Li2VOF4
Source: the Materials Project database
Functional: PBE+U
Structure: relaxed

Computed properties:
The calculation puts the formation energy at -2967 meV/atom. The value obtained for the calculated volume is 11.8 A^3/atom. The final energy is -180.04 eV/cell. The crystal system is orthorhombic.

a b c (Å): 5.4481 7.2034 9.6073
angles (deg): 90.00 90.00 90.00
Fractional coordinates of all 32 atoms:
Li 0.4995 0.7015 0.2804
Li 0.0342 0.8748 0.4282
Li 0.4658 0.1252 0.9282
Li 0.0005 0.2985 0.7804
Li 0.5005 0.2015 0.2196
Li 0.9658 0.3748 0.0718
Li 0.5342 0.6252 0.5718
Li 0.9995 0.7985 0.7196
V 0.9728 0.9484 0.0523
V 0.5272 0.0516 0.5523
V 0.0272 0.4484 0.4477
V 0.4728 0.5516 0.9477
O 0.7534 0.8999 0.5789
O 0.7466 0.1001 0.0789
O 0.2466 0.3999 0.9211
O 0.2534 0.6001 0.4211
F 0.2728 0.7658 0.0022
F 0.7728 0.7342 0.9978
F 0.0062 0.8519 0.2355
F 0.2495 0.8897 0.5893
F 0.4857 0.9887 0.3518
F 0.0143 0.0113 0.8518
F 0.2505 0.1103 0.0893
F 0.4938 0.1481 0.7355
F 0.2272 0.2342 0.5022
F 0.7272 0.2658 0.4978
F 0.9938 0.3519 0.2645
F 0.7505 0.3897 0.9107
F 0.5143 0.4887 0.1482
F 0.9857 0.5113 0.6482
F 0.7495 0.6103 0.4107
F 0.5062 0.6481 0.7645

---

No. 12
Compound: Li4V3Fe3Sn2O16
Source: the Materials Project database
Functional: PBE+U
Structure: relaxed

Computed properties:
The calculation puts the formation energy at -2189 meV/atom. The value obtained for the calculated volume is 10.9 A^3/atom. The final energy is -185.92 eV/cell. The crystal system is triclinic.

a b c (Å): 5.9873 5.9918 9.8031
angles (deg): 90.07 90.16 119.82
Fractional coordinates of all 28 atoms:
Li 0.6588 0.3310 0.1043
Li 0.0074 0.0030 0.0069
Li 0.0059 0.0021 0.5058
Li 0.3248 0.6633 0.6066
V 0.1736 0.8244 0.2828
V 0.3430 0.1710 0.7801
V 0.1715 0.3428 0.2864
Fe 0.8331 0.6623 0.7871
Fe 0.8323 0.1704 0.7871
Fe 0.6688 0.8322 0.2856
Sn 0.6658 0.3317 0.5083
Sn 0.3364 0.6679 0.0080
O 0.8421 0.6773 0.4005
O 0.9594 0.4790 0.6610
O 0.6416 0.3211 0.8927
O 0.0157 0.0076 0.6933
O 0.0117 0.9942 0.1941
O 0.8428 0.1615 0.3998
O 0.5083 0.4751 0.6609
O 0.5096 0.0334 0.6615
O 0.6822 0.8414 0.9013
O 0.3240 0.1574 0.4009
O 0.4767 0.9642 0.1627
O 0.4792 0.5165 0.1624
O 0.3264 0.6790 0.3939
O 0.1643 0.8404 0.8991
O 0.0316 0.5266 0.1585
O 0.1631 0.3235 0.9003

---

- Which value of calculated volume does entry 4 give?
  17.9 A^3/atom